Run one
The following is a DFT calculation (GGA-PBE) of crystalline Tb6PbSe10 at its relaxed geometry.

## Properties
* symmetry: P1
* theoretical density: 7.56 g cm⁻³
* volume: 25.19 A^3/atom

Geometry as POSCAR:
```
Tb6PbSe10
1.0
7.627 0.000 0.000
-2.557 7.193 0.000
-2.482 -3.615 31.218
Tb Pb Se
24 4 40
direct
0.000 0.000 0.000
0.001 0.878 0.872
0.020 0.645 0.575
0.025 0.400 0.820
0.146 0.275 0.326
0.149 0.647 0.701
0.194 0.201 0.603
0.196 0.068 0.476
0.221 0.844 0.177
0.222 0.618 0.423
0.356 0.480 0.924
0.397 0.284 0.075
0.399 0.400 0.201
0.422 0.055 0.772
0.559 0.677 0.521
0.600 0.480 0.676
0.606 0.615 0.797
0.633 0.244 0.378
0.635 0.001 0.629
0.747 0.254 0.499
0.755 0.879 0.125
0.796 0.688 0.281
0.820 0.197 0.226
0.822 0.446 0.976
0.351 0.847 0.304
0.424 0.802 0.023
0.554 0.048 0.898
0.955 0.454 0.100
0.042 0.784 0.779
0.070 0.170 0.153
0.121 0.023 0.249
0.122 0.509 0.248
0.136 0.906 0.080
0.151 0.769 0.948
0.161 0.405 0.018
0.174 0.417 0.524
0.245 0.005 0.381
0.277 0.377 0.749
0.319 0.707 0.849
0.320 0.224 0.847
0.351 0.095 0.677
0.358 0.976 0.552
0.372 0.621 0.622
0.378 0.620 0.124
0.436 0.203 0.980
0.464 0.559 0.353
0.514 0.406 0.452
0.521 0.925 0.452
0.546 0.310 0.277
0.554 0.171 0.151
0.561 0.821 0.719
0.572 0.818 0.219
0.633 0.392 0.577
0.685 0.767 0.949
0.726 0.120 0.050
0.726 0.623 0.049
0.745 0.497 0.876
0.763 0.385 0.750
0.769 0.016 0.820
0.772 0.027 0.319
0.835 0.595 0.181
0.860 0.980 0.550
0.926 0.331 0.649
0.927 0.812 0.648
0.936 0.682 0.482
0.968 0.564 0.350
0.977 0.235 0.424
0.979 0.224 0.922
```

---

Run two
The following is a DFT calculation (GGA-PBE) of crystalline Tb6PbSe10 at its relaxed geometry.

## Properties
* symmetry: P1
* theoretical density: 7.56 g cm⁻³
* volume: 25.19 A^3/atom

Geometry as POSCAR:
```
Tb6PbSe10
1.0
7.627 0.000 0.000
-2.557 7.193 0.000
-2.482 -3.615 31.218
Tb Pb Se
24 4 40
direct
0.000 0.000 0.000
0.006 0.372 0.629
0.038 0.156 0.521
0.044 0.667 0.177
0.129 0.006 0.872
0.198 0.199 0.201
0.205 0.580 0.820
0.247 0.755 0.499
0.255 0.866 0.378
0.322 0.209 0.075
0.432 0.556 0.924
0.445 0.070 0.575
0.447 0.946 0.701
0.516 0.408 0.281
0.591 0.599 0.603
0.594 0.971 0.226
0.630 0.754 0.125
0.650 0.283 0.772
0.720 0.592 0.476
0.800 0.196 0.423
0.809 0.818 0.797
0.820 0.949 0.326
0.846 0.470 0.976
0.924 0.804 0.676
0.047 0.543 0.304
0.401 0.779 0.023
0.655 0.150 0.898
0.855 0.354 0.100
0.013 0.635 0.750
0.056 0.815 0.577
0.056 0.826 0.080
0.057 0.302 0.922
0.062 0.953 0.452
0.070 0.473 0.452
0.111 0.206 0.353
0.143 0.387 0.018
0.203 0.821 0.948
0.254 0.496 0.124
0.263 0.005 0.779
0.269 0.033 0.277
0.277 0.682 0.649
0.279 0.164 0.648
0.309 0.430 0.550
0.353 0.599 0.219
0.403 0.020 0.151
0.453 0.708 0.319
0.454 0.200 0.482
0.455 0.223 0.980
0.471 0.858 0.849
0.474 0.377 0.847
0.528 0.628 0.749
0.552 0.811 0.424
0.618 0.214 0.350
0.650 0.893 0.524
0.654 0.415 0.181
0.675 0.069 0.050
0.675 0.418 0.677
0.677 0.573 0.049
0.736 0.818 0.949
0.749 0.999 0.622
0.806 0.423 0.552
0.842 0.102 0.719
0.864 0.623 0.381
0.870 0.621 0.876
0.872 0.774 0.249
0.874 0.261 0.248
0.917 0.017 0.153
0.949 0.196 0.820
```

---

Most stable: run one. Least stable: run two.